# 1
Density functional theory data (PBE with a Hubbard U) for ZnCr4O6 after structural relaxation.

Results
Calculated formation energy = -1.9425 eV per atom
SG = No. 63
Volume = 233 Å³ per cell

a = 5.2673 Å, b = 5.2673 Å, c = 15.4106 Å
α = 90.00°, β = 90.00°, γ = 146.92°
Last column: nearest neighbours and their distance in Å.
Fractional coordinates of all 22 atoms:
Zn  0.1615  0.8385  0.7500  2 O 2.06
Zn  0.8385  0.1615  0.2500  2 O 2.06
Cr  0.0955  0.9045  0.1353  6 O 2.05-2.30
Cr  0.0955  0.9045  0.3647  6 O 2.05-2.30
Cr  0.3637  0.6363  0.0458  6 O 2.01-2.18
Cr  0.3637  0.6363  0.4542  6 O 2.01-2.18
Cr  0.6363  0.3637  0.5458  6 O 2.01-2.18
Cr  0.6363  0.3637  0.9542  6 O 2.01-2.18
Cr  0.9045  0.0955  0.6353  6 O 2.05-2.30
Cr  0.9045  0.0955  0.8647  6 O 2.05-2.30
O  0.0000  0.0000  0.0000  6 Cr 2.15-2.30
O  0.0000  0.0000  0.5000  6 Cr 2.15-2.30
O  0.1992  0.8008  0.2500  2 Cr 2.05, 2 Zn 2.06
O  0.2849  0.7151  0.5796  5 Cr 2.09-2.18
O  0.2849  0.7151  0.9204  5 Cr 2.09-2.18
O  0.4602  0.5398  0.1600  3 Cr 2.01-2.06
O  0.4602  0.5398  0.3400  3 Cr 2.01-2.06
O  0.5398  0.4602  0.6600  3 Cr 2.01-2.06
O  0.5398  0.4602  0.8400  3 Cr 2.01-2.06
O  0.7151  0.2849  0.0796  5 Cr 2.09-2.18
O  0.7151  0.2849  0.4204  5 Cr 2.09-2.18
O  0.8008  0.1992  0.7500  2 Cr 2.05, 2 Zn 2.06



# 2
Density functional theory data (PBE with a Hubbard U) for FeP4O12 after structural relaxation.

Results
Calculated formation energy = -2.3448 eV per atom
SG = No. 60
Volume = 1032 Å³ per cell

a = 13.0805 Å, b = 8.3836 Å, c = 9.4119 Å
α = 90.00°, β = 90.00°, γ = 90.00°
Last column: nearest neighbours and their distance in Å.
Fractional coordinates of all 68 atoms:
Fe  0.0000  0.1369  0.2500  6 O 2.00-2.03
Fe  0.0000  0.8631  0.7500  6 O 2.00-2.03
Fe  0.5000  0.3631  0.7500  6 O 2.00-2.03
Fe  0.5000  0.6369  0.2500  6 O 2.00-2.03
P  0.1479  0.0398  0.5161  4 O 1.50-1.61
P  0.1481  0.3132  0.0156  4 O 1.50-1.61
P  0.1481  0.6868  0.5156  4 O 1.50-1.61
P  0.1479  0.9602  0.0161  4 O 1.50-1.61
P  0.3519  0.1868  0.5156  4 O 1.50-1.61
P  0.3521  0.4602  0.0161  4 O 1.50-1.61
P  0.3521  0.5398  0.5161  4 O 1.50-1.61
P  0.3519  0.8132  0.0156  4 O 1.50-1.61
P  0.6481  0.1868  0.9844  4 O 1.50-1.61
P  0.6479  0.4602  0.4839  4 O 1.50-1.61
P  0.6479  0.5398  0.9839  4 O 1.50-1.61
P  0.6481  0.8132  0.4844  4 O 1.50-1.61
P  0.8521  0.0398  0.9839  4 O 1.50-1.61
P  0.8519  0.3132  0.4844  4 O 1.50-1.61
P  0.8519  0.6868  0.9844  4 O 1.50-1.61
P  0.8521  0.9602  0.4839  4 O 1.50-1.61
O  0.0690  0.0309  0.6323  1 P 1.51
O  0.0690  0.9691  0.1323  1 P 1.51
O  0.0697  0.3041  0.1334  1 P 1.51
O  0.0697  0.6959  0.6334  1 P 1.51
O  0.1159  0.4060  0.8872  1 P 1.50
O  0.1159  0.5940  0.3872  1 P 1.50
O  0.1216  0.1318  0.3840  1 P 1.50
O  0.1216  0.8682  0.8840  1 P 1.50
O  0.1853  0.1363  0.9723  2 P 1.61
O  0.1853  0.8637  0.4723  2 P 1.61
O  0.2488  0.1157  0.5853  2 P 1.60-1.61
O  0.2488  0.8843  0.0853  2 P 1.60-1.61
O  0.2512  0.3843  0.0853  2 P 1.60-1.61
O  0.2512  0.6157  0.5853  2 P 1.60-1.61
O  0.3147  0.3637  0.4723  2 P 1.61
O  0.3147  0.6363  0.9723  2 P 1.61
O  0.3784  0.3682  0.8840  1 P 1.50
O  0.3784  0.6318  0.3840  1 P 1.50
O  0.3841  0.0940  0.3872  1 P 1.50
O  0.3841  0.9060  0.8872  1 P 1.50
O  0.4303  0.1959  0.6334  1 P 1.51
O  0.4303  0.8041  0.1334  1 P 1.51
O  0.4310  0.4691  0.1323  1 P 1.51
O  0.4310  0.5309  0.6323  1 P 1.51
O  0.5690  0.4691  0.3677  1 P 1.51
O  0.5690  0.5309  0.8677  1 P 1.51
O  0.5697  0.1959  0.8666  1 P 1.51
O  0.5697  0.8041  0.3666  1 P 1.51
O  0.6159  0.0940  0.1128  1 P 1.50
O  0.6159  0.9060  0.6128  1 P 1.50
O  0.6216  0.3682  0.6160  1 P 1.50
O  0.6216  0.6318  0.1160  1 P 1.50
O  0.6853  0.3637  0.0277  2 P 1.61
O  0.6853  0.6363  0.5277  2 P 1.61
O  0.7488  0.3843  0.4147  2 P 1.60-1.61
O  0.7488  0.6157  0.9147  2 P 1.60-1.61
O  0.7512  0.1157  0.9147  2 P 1.60-1.61
O  0.7512  0.8843  0.4147  2 P 1.60-1.61
O  0.8147  0.1363  0.5277  2 P 1.61
O  0.8147  0.8637  0.0277  2 P 1.61
O  0.8784  0.1318  0.1160  1 P 1.50
O  0.8784  0.8682  0.6160  1 P 1.50
O  0.8841  0.4060  0.6128  1 P 1.50
O  0.8841  0.5940  0.1128  1 P 1.50
O  0.9303  0.3041  0.3666  1 P 1.51
O  0.9303  0.6959  0.8666  1 P 1.51
O  0.9310  0.0309  0.8677  1 P 1.51
O  0.9310  0.9691  0.3677  1 P 1.51



# 3
Density functional theory data (PBE with a Hubbard U) for CrH14N4Cl3O after structural relaxation.

Results
Calculated formation energy = -0.6962 eV per atom
SG = No. 11
Volume = 499 Å³ per cell

a = 6.8347 Å, b = 10.7518 Å, c = 6.8583 Å
α = 90.00°, β = 98.14°, γ = 90.00°
Last column: nearest neighbours and their distance in Å.
Fractional coordinates of all 46 atoms:
Cr  0.2257  0.2500  0.1637  1 O 2.07, 4 N 2.09-2.13
Cr  0.7743  0.7500  0.8363  1 O 2.07, 4 N 2.09-2.13
H  0.0162  0.6728  0.5873  1 N 1.03
H  0.0162  0.8272  0.5873  1 N 1.03
H  0.0914  0.0219  0.2089  1 N 1.03
H  0.0914  0.4781  0.2089  1 N 1.03
H  0.1786  0.2500  0.5245  1 N 1.02
H  0.2361  0.0169  0.0357  1 N 1.03
H  0.2361  0.4831  0.0357  1 N 1.03
H  0.3343  0.0190  0.2710  1 N 1.03
H  0.3343  0.4810  0.2710  1 N 1.03
H  0.3814  0.1728  0.8489  1 N 1.03
H  0.3814  0.3272  0.8489  1 N 1.03
H  0.4421  0.6748  0.6286  1 O 1.01
H  0.4424  0.7500  0.0101  1 N 1.03
H  0.4421  0.8252  0.6286  1 O 1.01
H  0.5579  0.1748  0.3714  1 O 1.01
H  0.5576  0.2500  0.9899  1 N 1.03
H  0.5579  0.3252  0.3714  1 O 1.01
H  0.6186  0.6728  0.1511  1 N 1.03
H  0.6186  0.8272  0.1511  1 N 1.03
H  0.6657  0.5190  0.7290  1 N 1.03
H  0.6657  0.9810  0.7290  1 N 1.03
H  0.7639  0.5169  0.9643  1 N 1.03
H  0.7639  0.9831  0.9643  1 N 1.03
H  0.8214  0.7500  0.4755  1 N 1.02
H  0.9086  0.5219  0.7911  1 N 1.03
H  0.9086  0.9781  0.7911  1 N 1.03
H  0.9838  0.1728  0.4128  1 N 1.03
H  0.9838  0.3272  0.4128  1 N 1.03
N  0.0707  0.2500  0.4049  3 H 1.02-1.03
N  0.2219  0.0544  0.1710  3 H 1.03
N  0.2219  0.4456  0.1710  3 H 1.03
N  0.4091  0.2500  0.9377  3 H 1.03
N  0.5909  0.7500  0.0623  3 H 1.03
N  0.7781  0.5544  0.8290  3 H 1.03
N  0.7781  0.9456  0.8290  3 H 1.03
N  0.9293  0.7500  0.5951  3 H 1.02-1.03
Cl  0.0555  0.7500  0.0700  1 Cr 2.32
Cl  0.2828  0.5202  0.6854  1 H 2.05
Cl  0.2828  0.9798  0.6854  1 H 2.05
Cl  0.7172  0.0202  0.3146  1 H 2.05
Cl  0.7172  0.4798  0.3146  1 H 2.05
Cl  0.9445  0.2500  0.9300  1 Cr 2.32
O  0.4715  0.2500  0.3769  2 H 1.01
O  0.5285  0.7500  0.6231  2 H 1.01



# 4
Density functional theory data (PBE with a Hubbard U) for Li3FeO4 after structural relaxation.

Results
Calculated formation energy = -1.7634 eV per atom
SG = No. 1
Volume = 70 Å³ per cell

a = 2.8916 Å, b = 5.0388 Å, c = 5.0407 Å
α = 72.51°, β = 89.81°, γ = 89.62°
Last column: nearest neighbours and their distance in Å.
Fractional coordinates of all 8 atoms:
Li  0.0000  0.0000  0.0000  6 O 2.04-2.10
Li  0.0023  0.4954  0.5001  6 O 2.02-2.11
Li  0.4985  0.9945  0.4929  6 O 2.15-2.26
Fe  0.4977  0.5015  0.9982  6 O 1.86-2.00
O  0.4944  0.7287  0.2282  1 Fe 1.86, 2 Li 2.07-2.08
O  0.5028  0.2715  0.7713  1 Fe 1.86, 3 Li 2.07-2.08
O  0.9955  0.7305  0.7684  2 Fe 1.99, 4 Li 2.04-2.17
O  0.9990  0.2705  0.2297  2 Fe 2.00, 4 Li 2.02-2.17